No. 1
An optimized crystal structure of Mn2SiNi. Source: the Materials Project database, functional PBE.

abc: 3.6170 3.6170 6.9752
angles: 90.00 90.00 90.00
With the nearest neighbours (Å) after each atom.
Space group I-4m2 (No. 119)
Unique sites:
1 Mn 0.0000 0.0000 0.0000  4 Mn 2.51, 4 Ni 2.51, 4 Si 2.56
2 Mn 0.0000 0.5000 0.2500  4 Mn 2.51, 4 Si 2.51, 4 Ni 2.56
3 Si 0.0000 0.0000 0.5000  8 Mn 2.51-2.56, 4 Ni 2.51
4 Ni 0.0000 0.5000 0.7500  8 Mn 2.51-2.56, 4 Si 2.51

Properties
As for the formation energy: -0.253 eV/atom. The calculation puts the theoretical density at 7.16 g cm⁻³.

No. 2
An optimized crystal structure of Sm3Ge13Rh4. Source: the Materials Project database, functional PBE.

abc: 9.0852 9.0852 9.0852
angles: 90.00 90.00 90.00
With the nearest neighbours (Å) after each atom.
Space group Pm-3n (No. 223)
Unique sites:
1 Sm 0.0000 0.2500 0.5000  12 Ge 3.16-3.23, 4 Rh 3.21
2 Ge 0.0000 0.0000 0.0000  12 Ge 3.12
3 Ge 0.0000 0.3089 0.1493  2 Rh 2.51, 1 Ge 2.71
4 Rh 0.2500 0.2500 0.2500  6 Ge 2.51

Properties
As for the formation energy: -0.547 eV/atom. The calculation puts the theoretical density at 8.00 g cm⁻³.

No. 3
An optimized crystal structure of KLaSiC4N8. Source: the Materials Project database, functional PBE.

abc: 7.6752 9.5259 6.9801
angles: 90.00 90.00 90.00
With the nearest neighbours (Å) after each atom.
Space group P2_12_12 (No. 18)
Unique sites:
1 K 0.0000 0.0000 0.0783  6 N 2.94-3.14, 2 C 3.24
2 La 0.0000 0.5000 0.7409  8 N 2.54-2.76
3 Si 0.0000 0.5000 0.2482  4 N 1.72-1.73
4 C 0.1725 0.2710 0.3642  2 N 1.20-1.27
5 C 0.2144 0.7004 0.1274  2 N 1.20-1.27
6 N 0.1000 0.3870 0.4068  1 C 1.27
7 N 0.1352 0.5867 0.0883  1 C 1.27
8 N 0.2089 0.3076 0.8441  1 C 1.20
9 N 0.2397 0.1608 0.3276  1 C 1.20

Properties
As for the formation energy: -0.718 eV/atom. The calculation puts the theoretical density at 2.38 g cm⁻³.